(1)
{"formula": "K7As2W8O39", "functional": "GGA+U", "state": "optimized geometry", "e_form_mev_per_atom": -1220, "spacegroup": "P2_1/m", "vol_a3_per_atom": 17.797, "lattice_angstrom": [[9.646, 0.000, 0.000], [0.000, 21.336, 0.000], [-1.616, 0.000, 9.685]], "species": ["K", "K", "K", "K", "K", "K", "K", "K", "K", "K", "K", "K", "K", "K", "As", "As", "As", "As", "W", "W", "W", "W", "W", "W", "W", "W", "W", "W", "W", "W", "W", "W", "W", "W", "O", "O", "O", "O", "O", "O", "O", "O", "O", "O", "O", "O", "O", "O", "O", "O", "O", "O", "O", "O", "O", "O", "O", "O", "O", "O", "O", "O", "O", "O", "O", "O", "O", "O", "O", "O", "O", "O", "O", "O", "O", "O", "O", "O", "O", "O", "O", "O", "O", "O", "O", "O", "O", "O", "O", "O", "O", "O", "O", "O", "O", "O", "O", "O", "O", "O", "O", "O", "O", "O", "O", "O", "O", "O", "O", "O", "O", "O"], "frac_coords": [[0.169, 0.096, 0.274], [0.169, 0.404, 0.274], [0.248, 0.119, 0.769], [0.248, 0.381, 0.769], [0.252, 0.750, 0.776], [0.267, 0.576, 0.806], [0.267, 0.924, 0.806], [0.733, 0.076, 0.194], [0.733, 0.424, 0.194], [0.748, 0.250, 0.224], [0.752, 0.619, 0.231], [0.752, 0.881, 0.231], [0.831, 0.596, 0.726], [0.831, 0.904, 0.726], [0.256, 0.250, 0.504], [0.353, 0.750, 0.218], [0.647, 0.250, 0.782], [0.744, 0.750, 0.496], [0.033, 0.670, 0.031], [0.033, 0.830, 0.031], [0.109, 0.662, 0.425], [0.109, 0.838, 0.425], [0.333, 0.583, 0.244], [0.333, 0.917, 0.244], [0.465, 0.660, 0.539], [0.465, 0.840, 0.539], [0.535, 0.160, 0.461], [0.535, 0.340, 0.461], [0.667, 0.083, 0.756], [0.667, 0.417, 0.756], [0.891, 0.162, 0.575], [0.891, 0.338, 0.575], [0.967, 0.170, 0.969], [0.967, 0.330, 0.969], [0.015, 0.022, 0.734], [0.015, 0.478, 0.734], [0.017, 0.677, 0.248], [0.017, 0.823, 0.248], [0.029, 0.135, 0.491], [0.029, 0.365, 0.491], [0.067, 0.250, 0.989], [0.081, 0.666, 0.862], [0.081, 0.834, 0.862], [0.113, 0.750, 0.478], [0.115, 0.120, 0.990], [0.115, 0.380, 0.990], [0.172, 0.579, 0.367], [0.172, 0.921, 0.367], [0.185, 0.611, 0.103], [0.185, 0.889, 0.103], [0.194, 0.750, 0.095], [0.199, 0.250, 0.332], [0.240, 0.000, 0.533], [0.240, 0.500, 0.533], [0.276, 0.651, 0.580], [0.276, 0.849, 0.580], [0.313, 0.685, 0.332], [0.313, 0.815, 0.332], [0.332, 0.501, 0.212], [0.332, 0.999, 0.212], [0.371, 0.184, 0.556], [0.371, 0.316, 0.556], [0.442, 0.013, 0.981], [0.442, 0.487, 0.981], [0.446, 0.133, 0.303], [0.446, 0.367, 0.303], [0.448, 0.663, 0.968], [0.448, 0.837, 0.968], [0.454, 0.586, 0.430], [0.454, 0.914, 0.430], [0.456, 0.750, 0.578], [0.475, 0.613, 0.159], [0.475, 0.887, 0.159], [0.525, 0.113, 0.841], [0.525, 0.387, 0.841], [0.544, 0.250, 0.422], [0.546, 0.086, 0.570], [0.546, 0.414, 0.570], [0.552, 0.163, 0.032], [0.552, 0.337, 0.032], [0.554, 0.633, 0.697], [0.554, 0.867, 0.697], [0.558, 0.513, 0.019], [0.558, 0.987, 0.019], [0.629, 0.684, 0.444], [0.629, 0.816, 0.444], [0.668, 0.001, 0.788], [0.668, 0.499, 0.788], [0.687, 0.185, 0.668], [0.687, 0.315, 0.668], [0.724, 0.151, 0.420], [0.724, 0.349, 0.420], [0.760, 0.000, 0.467], [0.760, 0.500, 0.467], [0.801, 0.750, 0.668], [0.806, 0.250, 0.905], [0.815, 0.111, 0.897], [0.815, 0.389, 0.897], [0.828, 0.079, 0.633], [0.828, 0.421, 0.633], [0.885, 0.620, 0.010], [0.885, 0.880, 0.010], [0.887, 0.250, 0.522], [0.919, 0.166, 0.138], [0.919, 0.334, 0.138], [0.933, 0.750, 0.011], [0.971, 0.635, 0.509], [0.971, 0.865, 0.509], [0.983, 0.177, 0.752], [0.983, 0.323, 0.752], [0.985, 0.522, 0.266], [0.985, 0.978, 0.266]]}

=====

(2)
{"formula": "Ba2MgMn2CuF14", "functional": "GGA+U", "state": "optimized geometry", "e_form_mev_per_atom": -3205, "spacegroup": "P1", "vol_a3_per_atom": 13.782, "lattice_angstrom": [[5.332, 0.000, 0.000], [2.662, 6.985, 0.000], [0.019, 0.989, 14.803]], "species": ["Ba", "Ba", "Ba", "Ba", "Mg", "Mg", "Mn", "Mn", "Mn", "Mn", "Cu", "Cu", "F", "F", "F", "F", "F", "F", "F", "F", "F", "F", "F", "F", "F", "F", "F", "F", "F", "F", "F", "F", "F", "F", "F", "F", "F", "F", "F", "F"], "frac_coords": [[0.000, 0.000, 0.000], [0.149, 0.001, 0.500], [0.369, 0.263, 0.753], [0.519, 0.263, 0.253], [0.695, 0.632, 0.877], [0.824, 0.636, 0.377], [0.119, 0.871, 0.753], [0.161, 0.869, 0.253], [0.357, 0.393, 0.000], [0.400, 0.394, 0.500], [0.759, 0.633, 0.627], [0.760, 0.631, 0.127], [0.069, 0.414, 0.916], [0.115, 0.126, 0.226], [0.131, 0.470, 0.116], [0.139, 0.350, 0.581], [0.158, 0.639, 0.464], [0.166, 0.623, 0.289], [0.208, 0.305, 0.398], [0.312, 0.957, 0.855], [0.355, 0.638, 0.964], [0.360, 0.625, 0.789], [0.380, 0.916, 0.672], [0.388, 0.792, 0.137], [0.402, 0.137, 0.028], [0.447, 0.849, 0.338], [0.547, 0.474, 0.616], [0.612, 0.138, 0.529], [0.639, 0.305, 0.897], [0.657, 0.728, 0.502], [0.662, 0.348, 0.081], [0.669, 0.415, 0.417], [0.750, 0.539, 0.252], [0.769, 0.724, 0.001], [0.849, 0.850, 0.837], [0.857, 0.915, 0.173], [0.861, 0.538, 0.752], [0.877, 0.952, 0.356], [0.908, 0.126, 0.724], [0.971, 0.792, 0.638]]}

=====

(3)
{"formula": "V3Fe2SbP6O24", "functional": "GGA+U", "state": "optimized geometry", "e_form_mev_per_atom": -2463, "spacegroup": "R3", "vol_a3_per_atom": 12.837, "lattice_angstrom": [[4.358, 2.516, 7.023], [-4.358, 2.516, 7.023], [0.000, -5.033, 7.023]], "species": ["V", "V", "V", "Fe", "Fe", "Sb", "P", "P", "P", "P", "P", "P", "O", "O", "O", "O", "O", "O", "O", "O", "O", "O", "O", "O", "O", "O", "O", "O", "O", "O", "O", "O", "O", "O", "O", "O"], "frac_coords": [[0.000, 0.000, 0.000], [0.214, 0.214, 0.214], [0.498, 0.498, 0.498], [0.357, 0.357, 0.357], [0.862, 0.862, 0.862], [0.714, 0.714, 0.714], [0.109, 0.814, 0.396], [0.312, 0.604, 0.901], [0.396, 0.109, 0.814], [0.604, 0.901, 0.312], [0.814, 0.396, 0.109], [0.901, 0.312, 0.604], [0.041, 0.851, 0.246], [0.096, 0.300, 0.447], [0.120, 0.766, 0.916], [0.165, 0.969, 0.366], [0.246, 0.041, 0.851], [0.263, 0.616, 0.420], [0.300, 0.447, 0.096], [0.357, 0.544, 0.743], [0.366, 0.165, 0.969], [0.420, 0.263, 0.616], [0.447, 0.096, 0.300], [0.471, 0.669, 0.867], [0.544, 0.743, 0.357], [0.599, 0.941, 0.799], [0.616, 0.420, 0.263], [0.669, 0.867, 0.471], [0.743, 0.357, 0.544], [0.766, 0.916, 0.120], [0.799, 0.599, 0.941], [0.851, 0.246, 0.041], [0.867, 0.471, 0.669], [0.916, 0.120, 0.766], [0.941, 0.799, 0.599], [0.969, 0.366, 0.165]]}

=====

(4)
{"formula": "Sr2TaMnO6", "functional": "GGA+U", "state": "optimized geometry", "e_form_mev_per_atom": -3105, "spacegroup": "P-1", "vol_a3_per_atom": 13.019, "lattice_angstrom": [[5.661, 0.000, 0.000], [2.823, 4.958, 0.000], [2.812, 1.615, 9.276]], "species": ["Sr", "Sr", "Sr", "Sr", "Ta", "Ta", "Mn", "Mn", "O", "O", "O", "O", "O", "O", "O", "O", "O", "O", "O", "O"], "frac_coords": [[0.123, 0.129, 0.125], [0.373, 0.380, 0.374], [0.627, 0.620, 0.626], [0.877, 0.871, 0.875], [0.259, 0.232, 0.750], [0.741, 0.768, 0.250], [0.000, 0.000, 0.500], [0.500, 0.500, 0.000], [0.102, 0.659, 0.123], [0.134, 0.093, 0.629], [0.150, 0.580, 0.621], [0.357, 0.906, 0.371], [0.385, 0.342, 0.877], [0.397, 0.840, 0.868], [0.603, 0.160, 0.132], [0.615, 0.658, 0.123], [0.643, 0.094, 0.629], [0.850, 0.420, 0.379], [0.866, 0.907, 0.371], [0.898, 0.341, 0.877]]}

=====

(5)
{"formula": "MgTi2Mn2O6", "functional": "GGA+U", "state": "optimized geometry", "e_form_mev_per_atom": -2598, "spacegroup": "P1", "vol_a3_per_atom": 12.122, "lattice_angstrom": [[3.084, 0.000, 0.000], [-1.541, 6.006, 0.000], [-1.399, -2.551, 7.200]], "species": ["Mg", "Ti", "Ti", "Mn", "Mn", "O", "O", "O", "O", "O", "O"], "frac_coords": [[0.000, 0.000, 0.000], [0.170, 0.498, 0.818], [0.734, 0.823, 0.604], [0.326, 0.162, 0.426], [0.826, 0.474, 0.182], [0.121, 0.758, 0.426], [0.167, 0.327, 0.994], [0.349, 0.873, 0.801], [0.590, 0.506, 0.633], [0.826, 0.660, 0.982], [0.911, 0.152, 0.628]]}

=====

(6)
{"formula": "Ho2MgMo2Cl2O8", "functional": "GGA+U", "state": "optimized geometry", "e_form_mev_per_atom": -2582, "spacegroup": "C2", "vol_a3_per_atom": 17.731, "lattice_angstrom": [[5.765, -3.359, 0.000], [5.765, 3.359, 0.000], [-1.915, 0.000, 6.868]], "species": ["Ho", "Ho", "Mg", "Mo", "Mo", "Cl", "Cl", "O", "O", "O", "O", "O", "O", "O", "O"], "frac_coords": [[0.219, 0.219, 0.375], [0.781, 0.781, 0.625], [0.274, 0.726, 0.500], [0.132, 0.158, 0.792], [0.842, 0.868, 0.208], [0.459, 0.415, 0.702], [0.585, 0.541, 0.298], [0.019, 0.936, 0.696], [0.036, 0.608, 0.356], [0.064, 0.981, 0.304], [0.210, 0.187, 0.052], [0.392, 0.964, 0.644], [0.608, 0.011, 0.365], [0.813, 0.790, 0.948], [0.989, 0.392, 0.635]]}